# 1
# PBE MgSi2, optimized geometry
# ΔE to the lowest computed polymorph: 96 meV/atom
# density: 2.358 g/cm3
# formation enthalpy at 0 K: 0.17 eV per atom
# energy with MP2020 corrections: -47.7 eV/cell
data_MgSi2
_chemical_formula_sum 'Mg4 Si8'
_symmetry_space_group_name_H-M 'P 1'
_symmetry_Int_Tables_number 1
_cell_length_a 5.2491
_cell_length_b 5.6817
_cell_length_c 8.8711
_cell_angle_alpha 92.87
_cell_angle_beta 103.11
_cell_angle_gamma 116.66
loop_
_symmetry_equiv_pos_as_xyz
'x,y,z'
loop_
_atom_site_label
_atom_site_type_symbol
_atom_site_fract_x
_atom_site_fract_y
_atom_site_fract_z
Mg1 Mg 0.0000 0.0000 0.0000
Mg2 Mg 0.0038 0.3507 0.4538
Mg3 Mg 0.4689 0.4296 0.7871
Mg4 Mg 0.7002 0.7613 0.4968
Si1 Si 0.0326 0.6690 0.7632
Si2 Si 0.1281 0.8944 0.3409
Si3 Si 0.1655 0.5556 0.1780
Si4 Si 0.3504 0.9130 0.6103
Si5 Si 0.4208 0.7957 0.0008
Si6 Si 0.4482 0.3153 0.2848
Si7 Si 0.6390 0.2768 0.0648
Si8 Si 0.8662 0.1903 0.7338



# 2
# PBE CeSe2, optimized geometry
# density: 5.807 g/cm3
# formation enthalpy at 0 K: -1.87 eV per atom
# energy with MP2020 corrections: -74.1 eV/cell
data_CeSe2
_chemical_formula_sum 'Ce4 Se8'
_symmetry_space_group_name_H-M 'P c a 21'
_symmetry_Int_Tables_number 29
_cell_length_a 7.1617
_cell_length_b 6.8830
_cell_length_c 6.9153
_cell_angle_alpha 90.00
_cell_angle_beta 90.00
_cell_angle_gamma 90.00
loop_
_symmetry_equiv_pos_as_xyz
'x,y,z'
'-x,-y,z+1/2'
'-x+1/2,y,z+1/2'
'x+1/2,-y,z'
loop_
_atom_site_label
_atom_site_type_symbol
_atom_site_fract_x
_atom_site_fract_y
_atom_site_fract_z
Ce1 Ce 0.0474 0.2233 0.0000
Se1 Se 0.1357 0.4337 0.6482
Se2 Se 0.2473 0.9474 0.2548



# 3
# PBE HfFeP, optimized geometry
# density: 10.755 g/cm3
# formation enthalpy at 0 K: -1.04 eV per atom
data_HfFeP
_chemical_formula_sum 'Hf4 Fe4 P4'
_symmetry_space_group_name_H-M 'P n m a'
_symmetry_Int_Tables_number 62
_cell_length_a 6.2426
_cell_length_b 3.7340
_cell_length_c 7.0291
_cell_angle_alpha 90.00
_cell_angle_beta 90.00
_cell_angle_gamma 90.00
loop_
_symmetry_equiv_pos_as_xyz
'x,y,z'
'-x,-y,-z'
'-x+1/2,-y,z+1/2'
'x+1/2,y,-z+1/2'
'x+1/2,-y+1/2,-z+1/2'
'-x+1/2,y+1/2,z+1/2'
'-x,y+1/2,-z'
'x,-y+1/2,z'
loop_
_atom_site_label
_atom_site_type_symbol
_atom_site_fract_x
_atom_site_fract_y
_atom_site_fract_z
Hf1 Hf 0.0169 0.2500 0.1847
Fe1 Fe 0.1486 0.2500 0.5620
P1 P 0.2191 0.7500 0.3853



# 4
# PBE K3Al5P8H42O50, optimized geometry
# density: 2.090 g/cm3
# formation enthalpy at 0 K: -1.99 eV per atom
# energy with MP2020 corrections: -4020.4 eV/cell
data_K3Al5P8H42O50
_chemical_formula_sum 'K18 Al30 P48 H252 O300'
_symmetry_space_group_name_H-M 'R -3 c'
_symmetry_Int_Tables_number 167
_symmetry_space_group_name_Hall '-R 3 2"c'
_cell_length_a 8.7718
_cell_length_b 8.7718
_cell_length_c 96.0366
_cell_angle_alpha 90.00
_cell_angle_beta 90.00
_cell_angle_gamma 120.00
loop_
_atom_site_label
_atom_site_type_symbol
_atom_site_fract_x
_atom_site_fract_y
_atom_site_fract_z
K1 K 0.0000 0.4224 0.2500
Al1 Al 0.0000 0.0000 0.0489
Al2 Al 0.0000 0.0000 0.2027
Al3 Al 0.0000 0.0000 0.2500
P1 P 0.0000 0.0000 0.1352
P2 P 0.0485 0.2832 0.7269
H1 H 0.0056 0.1972 0.3184
H2 H 0.0156 0.4911 0.4746
H3 H 0.0235 0.4664 0.1661
H4 H 0.0376 0.5095 0.1999
H5 H 0.0461 0.1753 0.3894
H6 H 0.0466 0.4445 0.6292
H7 H 0.0608 0.2435 0.1575
O1 O 0.0000 0.0000 0.1188
O2 O 0.0211 0.1782 0.1403
O3 O 0.0238 0.1840 0.4400
O4 O 0.0273 0.1891 0.5364
O5 O 0.0291 0.4559 0.8335
O6 O 0.0533 0.2044 0.7127
O7 O 0.0616 0.4774 0.0635
O8 O 0.0636 0.2005 0.3092
O9 O 0.0991 0.2058 0.7390



# 5
# PBE V4ZnS8, optimized geometry
# ΔE to the lowest computed polymorph: 0 meV/atom
# density: 3.776 g/cm3
# formation enthalpy at 0 K: -1.12 eV per atom
# energy with MP2020 corrections: -255.6 eV/cell
data_V4ZnS8
_chemical_formula_sum 'V12 Zn3 S24'
_symmetry_space_group_name_H-M 'R -3 m'
_symmetry_Int_Tables_number 166
_symmetry_space_group_name_Hall '-R 3 2"'
_cell_length_a 6.4163
_cell_length_b 6.4163
_cell_length_c 19.4522
_cell_angle_alpha 90.00
_cell_angle_beta 90.00
_cell_angle_gamma 120.00
loop_
_atom_site_label
_atom_site_type_symbol
_atom_site_fract_x
_atom_site_fract_y
_atom_site_fract_z
V1 V 0.0000 0.0000 0.0000
V2 V 0.0000 0.5000 0.0000
Zn1 Zn 0.0000 0.0000 0.5000
S1 S 0.0000 0.0000 0.2582
S2 S 0.0044 0.5022 0.2569



# 6
# PBE PRu2, optimized geometry
# density: 9.597 g/cm3
# formation enthalpy at 0 K: -0.41 eV per atom
data_PRu2
_chemical_formula_sum 'P4 Ru8'
_symmetry_space_group_name_H-M 'P n m a'
_symmetry_Int_Tables_number 62
_cell_length_a 5.9059
_cell_length_b 3.8939
_cell_length_c 7.0153
_cell_angle_alpha 90.00
_cell_angle_beta 90.00
_cell_angle_gamma 90.00
loop_
_symmetry_equiv_pos_as_xyz
'x,y,z'
'-x,-y,-z'
'-x+1/2,-y,z+1/2'
'x+1/2,y,-z+1/2'
'x+1/2,-y+1/2,-z+1/2'
'-x+1/2,y+1/2,z+1/2'
'-x,y+1/2,-z'
'x,-y+1/2,z'
loop_
_atom_site_label
_atom_site_type_symbol
_atom_site_fract_x
_atom_site_fract_y
_atom_site_fract_z
P1 P 0.2487 0.2500 0.1106
Ru1 Ru 0.0153 0.7500 0.3477
Ru2 Ru 0.1395 0.7500 0.9222



# 7
# PBE SiO2, optimized geometry
# density: 1.847 g/cm3
# formation enthalpy at 0 K: -3.26 eV per atom
# energy with MP2020 corrections: -1405.0 eV/cell
data_SiO2
_chemical_formula_sum 'Si56 O112'
_symmetry_space_group_name_H-M 'C 1 2/c 1'
_symmetry_Int_Tables_number 15
_cell_length_a 25.3137
_cell_length_b 5.0850
_cell_length_c 24.6950
_cell_angle_alpha 90.00
_cell_angle_beta 107.88
_cell_angle_gamma 90.00
loop_
_symmetry_equiv_pos_as_xyz
'x,y,z'
'-x,-y,-z'
'-x,y,-z+1/2'
'x,-y,z+1/2'
'x+1/2,y+1/2,z'
'-x+1/2,-y+1/2,-z'
'-x+1/2,y+1/2,-z+1/2'
'x+1/2,-y+1/2,z+1/2'
loop_
_atom_site_label
_atom_site_type_symbol
_atom_site_fract_x
_atom_site_fract_y
_atom_site_fract_z
Si1 Si 0.0610 0.0352 0.0867
Si2 Si 0.0672 0.0654 0.9587
Si3 Si 0.1259 0.4649 0.6383
Si4 Si 0.1336 0.4300 0.4476
Si5 Si 0.2126 0.4156 0.8809
Si6 Si 0.2154 0.4221 0.5720
Si7 Si 0.2146 0.4842 0.7549
O1 O 0.0032 0.0351 0.9205
O2 O 0.0731 0.0096 0.0262
O3 O 0.0739 0.3312 0.1110
O4 O 0.0860 0.3679 0.9517
O5 O 0.0999 0.1708 0.6319
O6 O 0.1071 0.1349 0.4385
O7 O 0.1547 0.4721 0.2054
O8 O 0.1548 0.4960 0.8927
O9 O 0.1699 0.4984 0.1031
O10 O 0.1876 0.4409 0.5041
O11 O 0.2018 0.4035 0.8127
O12 O 0.2325 0.1309 0.9080
O13 O 0.2382 0.1266 0.5903
O14 O 0.2495 0.2389 0.2644



Q: The lowest density belongs to which entry?
A: SiO2



Q: Which of these has the lowest formation enthalpy at 0 K?
A: SiO2